# 1
A plane-wave DFT calculation with PBE was carried out for crystalline Na3Zn3SnPS5O24 at its relaxed geometry.

a b c (Å): 8.7978 8.7771 22.7221
angles (deg): 90.33 90.03 120.16
With the nearest neighbours (Å) after each atom.
Element x y z (fractional)
Sn: 0.6706 0.3308 0.9790  6 O 2.01-2.12
Sn: 0.3289 0.6677 0.8170  6 O 2.01-2.12
Sn: 0.6663 0.3362 0.4838  6 O 1.99-2.13
S: 0.0412 0.6680 0.4178  4 O 1.47-1.54
S: 0.6684 0.0388 0.0847  4 O 1.47-1.51
S: 0.9993 0.2932 0.2506  4 O 1.47-1.51
S: 0.2932 0.2924 0.7500  4 O 1.46-1.55
S: 0.3726 0.0393 0.5844  4 O 1.46-1.53
S: 0.7064 0.0012 0.7511  4 O 1.46-1.55
S: 0.9989 0.7065 0.7501  4 O 1.46-1.54
S: 0.3746 0.3368 0.0850  4 O 1.46-1.53
S: 0.2930 0.9977 0.2492  4 O 1.48-1.51
S: 0.3307 0.3702 0.4157  4 O 1.47-1.54
S: 0.9602 0.3316 0.5842  4 O 1.46-1.54
S: 0.9591 0.6266 0.0847  4 O 1.46-1.51
S: 0.7059 0.7065 0.2503  4 O 1.47-1.51
S: 0.6280 0.6690 0.9180  4 O 1.46-1.52
S: 0.6281 0.9614 0.4170  4 O 1.46-1.55
O: 0.8098 0.0229 0.8041  1 S 1.46
O: 0.5211 0.8879 0.3635  1 S 1.47
O: 0.5160 0.6307 0.8638  1 S 1.50
O: 0.5486 0.6935 0.9711  1 S 1.46
O: 0.1191 0.4868 0.8616  1 P 1.57
O: 0.1970 0.0226 0.5886  1 S 1.48
O: 0.5230 0.8328 0.7559  1 S 1.55
O: 0.1653 0.6908 0.7546  1 S 1.54
O: 0.8454 0.5271 0.7451  1 S 1.48
O: 0.1899 0.9715 0.1940  1 S 1.49
O: 0.3124 0.4770 0.7554  1 S 1.55
O: 0.8770 0.3627 0.6351  1 S 1.46
O: 0.7778 0.9665 0.6971  1 S 1.48
O: 0.6375 0.5113 0.6376  1 P 1.51
O: 0.0143 0.1860 0.9104  1 P 1.52
O: 0.4501 0.1463 0.5284  1 S 1.53
O: 0.6826 0.1552 0.7446  1 S 1.48
O: 0.3594 0.4941 0.0774  1 S 1.46
O: 0.5006 0.1479 0.9222  1 P 1.59
O: 0.8493 0.2967 0.5282  1 S 1.54
O: 0.1414 0.6895 0.4723  1 S 1.48
O: 0.6823 0.5248 0.2446  1 S 1.51
O: 0.1315 0.4965 0.5758  1 S 1.49
O: 0.3121 0.8407 0.2556  1 S 1.48
O: 0.3079 0.4532 0.4685  1 S 1.47
O: 0.4700 0.1625 0.2441  1 S 1.51
O: 0.7830 0.8107 0.1967  1 S 1.47
O: 0.6986 0.1493 0.0303  1 S 1.51
O: 0.8423 0.3124 0.2441  1 S 1.48
O: 0.1361 0.6464 0.0789  1 S 1.48
O: 0.9724 0.1857 0.3034  1 S 1.47
O: 0.0311 0.8096 0.6952  1 S 1.49
O: 0.3096 0.8602 0.9767  1 P 1.53
O: 0.5477 0.8592 0.4702  1 S 1.46
O: 0.2112 0.0311 0.3010  1 S 1.48
O: 0.9802 0.1760 0.5886  1 S 1.47
O: 0.8269 0.0241 0.0897  1 S 1.47
O: 0.8585 0.5005 0.4214  1 S 1.54
O: 0.1633 0.4709 0.2563  1 S 1.51
O: 0.6407 0.5031 0.9224  1 S 1.52
O: 0.8058 0.9852 0.4112  1 S 1.48
O: 0.6450 0.1448 0.4226  1 S 1.55
O: 0.8383 0.8104 0.5889  1 P 1.56
O: 0.3720 0.8806 0.8639  1 P 1.57
O: 0.1758 0.1919 0.4102  1 S 1.48
O: 0.1177 0.6353 0.3649  1 S 1.47
O: 0.1856 0.2170 0.6964  1 S 1.48
O: 0.1663 0.9755 0.9111  1 P 1.52
O: 0.4580 0.3007 0.0316  1 S 1.53
O: 0.4804 0.3607 0.1386  1 S 1.48
O: 0.9777 0.7914 0.8025  1 S 1.46
O: 0.8755 0.5173 0.1363  1 S 1.46
O: 0.4708 0.3152 0.7451  1 S 1.48
O: 0.4856 0.1213 0.6354  1 S 1.46
O: 0.5250 0.6828 0.2558  1 S 1.50
O: 0.5015 0.6446 0.5772  1 P 1.53
O: 0.9791 0.8053 0.0889  1 S 1.49
O: 0.0335 0.2160 0.1970  1 S 1.49
O: 0.3488 0.8602 0.5765  1 S 1.49
O: 0.7097 0.5516 0.5274  1 P 1.62
O: 0.8486 0.5470 0.0300  1 S 1.51
O: 0.6349 0.1216 0.1361  1 S 1.48
O: 0.4960 0.3535 0.4213  1 S 1.54
O: 0.8136 0.7863 0.3033  1 S 1.47
O: 0.5065 0.8644 0.0775  1 S 1.48
O: 0.3640 0.4756 0.3615  1 S 1.48
O: 0.2004 0.1716 0.0884  1 S 1.49
O: 0.8024 0.8221 0.9103  1 S 1.46
O: 0.0181 0.8227 0.4115  1 S 1.48
O: 0.8567 0.3615 0.9214  1 P 1.59
O: 0.2137 0.1910 0.8034  1 S 1.46
O: 0.1488 0.4503 0.9734  1 P 1.52
Zn: 0.3327 0.6744 0.3189  6 O 2.04-2.19
Zn: 0.9966 0.9973 0.3503  6 O 2.04-2.15
Zn: 0.6761 0.3352 0.1845  6 O 2.01-2.16
Zn: 0.3491 0.6659 0.5177  6 O 1.98-2.20
Zn: 0.3270 0.6622 0.0101  3 O 1.91-2.03
Zn: 0.9900 0.9973 0.1524  5 O 2.01-2.18
Zn: 0.6618 0.3394 0.6849  5 O 1.95-2.13
Zn: 0.0107 0.0104 0.8524  6 O 2.01-2.19
Zn: 0.9878 0.9964 0.6518  6 O 2.01-2.25
Na: 0.3480 0.6646 0.6651  6 O 2.47-2.67
Na: 0.9933 0.0015 0.5009  6 O 2.53-2.64
Na: 0.6672 0.3288 0.8297  6 O 2.50-2.68
Na: 0.6758 0.3325 0.3319  6 O 2.53-2.64
Na: 0.3641 0.3644 0.2510  4 O 2.38-2.42
Na: 0.3333 0.6665 0.1672  6 O 2.58-2.62
Na: 0.2990 0.9645 0.0806  5 O 2.38-2.55
Na: 0.0281 0.6995 0.5850  4 O 2.32-2.45
Na: 0.9989 0.0070 0.9932  4 O 2.42-2.70
P: 0.6654 0.6291 0.5855  4 O 1.51-1.62
P: 0.0415 0.3699 0.9178  4 O 1.52-1.59
P: 0.3285 0.9591 0.9192  4 O 1.52-1.59

Values from the calculation:
Space group: P1, No. 1
Uncorrected energy: -5.819 eV per atom
DFT formation energy: -2.03 eV per atom
Energy with MP2020 corrections: -6.26 eV per atom

=====

# 2
A plane-wave DFT calculation with PBE was carried out for crystalline Si2Pb5N6 at its relaxed geometry.

a b c (Å): 6.4069 7.4942 12.9426
angles (deg): 90.00 103.85 125.79
With the nearest neighbours (Å) after each atom.
Element x y z (fractional)
Pb: 0.2221 0.2048 0.1831  3 N 2.33-2.40
Pb: 0.7779 0.7952 0.8169  3 N 2.33-2.40
Pb: 0.0000 0.5848 0.2500  2 N 2.38
Pb: 0.2221 0.0173 0.6831  3 N 2.33-2.40
Pb: 0.2317 0.4555 0.5192  2 N 2.25-2.37
Pb: 0.7779 0.9827 0.3169  3 N 2.33-2.40
Pb: 0.0000 0.4152 0.7500  2 N 2.38
Pb: 0.2317 0.7762 0.0192  2 N 2.25-2.37
Pb: 0.7683 0.5445 0.4808  2 N 2.25-2.37
Pb: 0.7683 0.2238 0.9808  2 N 2.25-2.37
Si: 0.3542 0.0194 0.4253  4 N 1.75-1.80
Si: 0.3542 0.3348 0.9253  4 N 1.75-1.80
Si: 0.6458 0.6652 0.0747  4 N 1.75-1.80
Si: 0.6458 0.9806 0.5747  4 N 1.75-1.80
N: 0.5012 0.8745 0.4318  2 Si 1.80
N: 0.0016 0.8172 0.3764  1 Si 1.76
N: 0.9984 0.1828 0.6236  1 Si 1.76
N: 0.4895 0.2365 0.3509  1 Si 1.75
N: 0.0016 0.1845 0.8764  1 Si 1.76
N: 0.4988 0.3733 0.0682  2 Si 1.80
N: 0.9984 0.8155 0.1236  1 Si 1.76
N: 0.5105 0.7470 0.1491  1 Si 1.75
N: 0.5012 0.6267 0.9318  2 Si 1.80
N: 0.4895 0.2530 0.8509  1 Si 1.75
N: 0.5105 0.7635 0.6491  1 Si 1.75
N: 0.4988 0.1255 0.5682  2 Si 1.80

Values from the calculation:
Space group: C2/c, No. 15
Uncorrected energy: -6.064 eV per atom
DFT formation energy: -0.12 eV per atom
Energy with MP2020 corrections: -6.23 eV per atom

=====

# 3
A plane-wave DFT calculation with PBE was carried out for crystalline Dy12Os5C15 at its relaxed geometry.

a b c (Å): 5.0815 10.7127 10.7127
angles (deg): 120.00 90.00 90.00
With the nearest neighbours (Å) after each atom.
Element x y z (fractional)
Dy: 0.5000 0.0000 0.7938  4 C 2.49-2.54
Dy: 0.5000 0.0000 0.4326  6 C 2.56-2.74
Dy: 0.5000 0.7938 0.0000  4 C 2.49-2.54
Dy: 0.0000 0.4562 0.2729  5 C 2.38-2.54
Dy: 0.0000 0.2729 0.4562  5 C 2.38-2.54
Dy: 0.0000 0.5438 0.8166  5 C 2.38-2.54
Dy: 0.5000 0.4326 0.0000  6 C 2.56-2.74
Dy: 0.0000 0.7271 0.1834  5 C 2.38-2.54
Dy: 0.0000 0.1834 0.7271  5 C 2.38-2.54
Dy: 0.5000 0.5674 0.5674  6 C 2.56-2.74
Dy: 0.0000 0.8166 0.5438  5 C 2.38-2.54
Dy: 0.5000 0.2062 0.2062  4 C 2.49-2.54
C: 0.5000 0.2836 0.4678  1 Os 1.92
C: 0.0000 0.6639 0.6639  1 C 1.34
C: 0.0000 0.4608 0.0000  1 C 1.34
C: 0.5000 0.8158 0.5322  1 Os 1.92
C: 0.5000 0.5322 0.8158  1 Os 1.92
C: 0.0000 0.3361 0.0000  1 C 1.34
C: 0.5000 0.4678 0.2836  1 Os 1.92
C: 0.0000 0.2089 0.2089  2 Os 2.03
C: 0.0000 0.0000 0.7911  2 Os 2.03
C: 0.0000 0.7911 0.0000  2 Os 2.03
C: 0.0000 0.5392 0.5392  1 C 1.34
C: 0.0000 0.0000 0.4608  1 C 1.34
C: 0.5000 0.7164 0.1842  1 Os 1.92
C: 0.0000 0.0000 0.3361  1 C 1.34
C: 0.5000 0.1842 0.7164  1 Os 1.92
Os: 0.0000 0.0000 0.1609  3 C 1.88-2.03
Os: 0.5000 0.6667 0.3333  3 C 1.92
Os: 0.0000 0.1609 0.0000  3 C 1.88-2.03
Os: 0.0000 0.8391 0.8391  3 C 1.88-2.03
Os: 0.5000 0.3333 0.6667  3 C 1.92

Values from the calculation:
Space group: P-62m, No. 189
Uncorrected energy: -8.157 eV per atom
DFT formation energy: -0.35 eV per atom

=====

# 4
A plane-wave DFT calculation with PBE was carried out for crystalline Tl3Os3O10 at its relaxed geometry.

a b c (Å): 16.5308 16.5308 16.5308
angles (deg): 154.18 154.18 36.84
With the nearest neighbours (Å) after each atom.
Element x y z (fractional)
O: 0.8939 0.8939 0.0000  2 Os 1.94
O: 0.7762 0.2785 0.8877  2 Os 1.98-1.99
O: 0.3592 0.3615 0.3877  2 Os 1.98-1.99
O: 0.0285 0.0262 0.3877  2 Os 1.98-1.99
O: 0.9738 0.9715 0.6123  2 Os 1.98-1.99
O: 0.7762 0.8885 0.4977  2 Os 1.98-1.99
O: 0.6385 0.0262 0.9977  2 Os 1.98-1.99
O: 0.0285 0.6408 0.0023  2 Os 1.98-1.99
O: 0.4140 0.9140 0.5000  4 Tl 2.21-2.42
O: 0.1832 0.6832 0.5000  2 Os 2.00
O: 0.9738 0.3615 0.0023  2 Os 1.98-1.99
O: 0.5223 0.0223 0.5000  2 Os 1.95
O: 0.3360 0.3360 0.0000  4 Tl 2.21-2.42
O: 0.4334 0.5666 0.5000  2 Os 1.95
O: 0.3166 0.3166 0.6333  2 Os 1.95
O: 0.7215 0.6092 0.4977  2 Os 1.98-1.99
O: 0.1115 0.2238 0.5023  2 Os 1.98-1.99
O: 0.3908 0.2785 0.5023  2 Os 1.98-1.99
O: 0.4332 0.4332 0.0000  2 Os 2.00
O: 0.6834 0.3166 0.0000  2 Os 1.95
O: 0.2277 0.2277 0.0000  2 Os 1.95
O: 0.3166 0.6834 0.0000  2 Os 1.95
O: 0.3168 0.8168 0.5000  2 Os 2.00
O: 0.9777 0.4777 0.5000  2 Os 1.95
O: 0.6834 0.6834 0.3667  2 Os 1.95
O: 0.6385 0.6408 0.6123  2 Os 1.98-1.99
O: 0.6439 0.1439 0.5000  2 Os 1.94
O: 0.0860 0.5860 0.5000  4 Tl 2.21-2.42
O: 0.0666 0.9334 0.5000  2 Os 1.95
O: 0.0666 0.5666 0.1333  2 Os 1.95
O: 0.3592 0.9715 0.9977  2 Os 1.98-1.99
O: 0.3908 0.8885 0.1123  2 Os 1.98-1.99
O: 0.5668 0.5668 0.0000  2 Os 2.00
O: 0.4334 0.9334 0.8667  2 Os 1.95
O: 0.7215 0.2238 0.1123  2 Os 1.98-1.99
O: 0.1115 0.6092 0.8877  2 Os 1.98-1.99
O: 0.7723 0.7723 0.0000  2 Os 1.95
O: 0.6640 0.6640 0.0000  4 Tl 2.21-2.42
O: 0.1061 0.1061 0.0000  2 Os 1.94
O: 0.8561 0.3561 0.5000  2 Os 1.94
Os: 0.8750 0.1250 0.7500  6 O 1.94-1.99
Os: 0.2082 0.9577 0.7495  6 O 1.95-2.00
Os: 0.2087 0.4582 0.7505  6 O 1.95-2.00
Os: 0.3750 0.1250 0.2500  6 O 1.94-1.99
Os: 0.5418 0.2923 0.7505  6 O 1.95-2.00
Os: 0.8750 0.6250 0.7500  6 O 1.94-1.99
Os: 0.8750 0.1250 0.2500  6 O 1.94-1.99
Os: 0.5418 0.7913 0.2495  6 O 1.95-2.00
Os: 0.2082 0.4587 0.2505  6 O 1.95-2.00
Os: 0.0423 0.7918 0.2505  6 O 1.95-2.00
Os: 0.7077 0.4582 0.2495  6 O 1.95-2.00
Os: 0.5413 0.7918 0.7495  6 O 1.95-2.00
Tl: 0.7216 0.9602 0.7614  3 O 2.42-2.67
Tl: 0.3750 0.6250 0.2500  2 O 2.21
Tl: 0.5511 0.2898 0.2614  3 O 2.42-2.67
Tl: 0.1989 0.9602 0.2386  3 O 2.42-2.67
Tl: 0.7102 0.4489 0.7386  3 O 2.42-2.67
Tl: 0.0398 0.8011 0.7614  3 O 2.42-2.67
Tl: 0.0284 0.2898 0.7386  3 O 2.42-2.67
Tl: 0.0398 0.2784 0.2386  3 O 2.42-2.67
Tl: 0.3750 0.1250 0.7500  2 O 2.21
Tl: 0.8750 0.6250 0.2500  2 O 2.21
Tl: 0.7102 0.9716 0.2614  3 O 2.42-2.67
Tl: 0.3750 0.6250 0.7500  2 O 2.21

Values from the calculation:
Space group: I4_1/amd, No. 141
Uncorrected energy: -6.581 eV per atom
DFT formation energy: -1.37 eV per atom
Energy with MP2020 corrections: -7.01 eV per atom

=====

Question: DFT formation energy of number 1 (Na3Zn3SnPS5O24)?
Answer: -2.03 eV per atom